No. 1
A relaxed Mg3Si4 crystal. Source: Materials Project, functional PBE-GGA. Values from VASP.

The structure in Quantum ESPRESSO input format:
```
&SYSTEM
  ibrav = 0, nat = 14, ntyp = 2
/
ATOMIC_SPECIES
Mg 24.30 Mg.upf
Si 28.09 Si.upf
ATOMIC_POSITIONS crystal
Mg 0.000 0.000 0.000
Mg 0.109 0.433 0.877
Mg 0.323 0.565 0.170
Mg 0.442 0.254 0.627
Mg 0.580 0.695 0.465
Mg 0.718 0.129 0.309
Si 0.081 0.695 0.456
Si 0.203 0.121 0.352
Si 0.216 0.850 0.709
Si 0.518 0.963 0.028
Si 0.613 0.439 0.898
Si 0.713 0.839 0.760
Si 0.808 0.594 0.128
Si 0.945 0.289 0.563
CELL_PARAMETERS angstrom
5.660 0.000 0.000
1.149 6.635 0.000
0.006 2.732 6.602
```

The space group is No. 1. Its calculated formation energy is 0.21 eV per atom. The value obtained for the excess energy over the best structure of this formula in the dataset is 118.2 meV/atom. Its MP2020-corrected energy is -3.57 eV per atom.


No. 2
A relaxed Mg4Si7 crystal. Source: Materials Project, functional PBE-GGA. Values from VASP.

The structure in Quantum ESPRESSO input format:
```
&SYSTEM
  ibrav = 0, nat = 11, ntyp = 2
/
ATOMIC_SPECIES
Mg 24.30 Mg.upf
Si 28.09 Si.upf
ATOMIC_POSITIONS crystal
Mg 0.079 0.079 0.399
Mg 0.165 0.165 0.993
Mg 0.835 0.835 0.007
Mg 0.921 0.921 0.601
Si 0.000 0.000 0.000
Si 0.288 0.288 0.710
Si 0.310 0.310 0.342
Si 0.455 0.455 0.242
Si 0.545 0.545 0.758
Si 0.690 0.690 0.658
Si 0.712 0.712 0.290
CELL_PARAMETERS angstrom
8.039 -1.826 0.000
8.039 1.826 0.000
-0.045 0.000 6.768
```

The space group is No. 12. Its calculated formation energy is 0.17 eV per atom. The value obtained for the excess energy over the best structure of this formula in the dataset is 24.5 meV/atom. Its MP2020-corrected energy is -3.86 eV per atom.


No. 3
A relaxed Mg5Si6 crystal. Source: Materials Project, functional PBE-GGA. Values from VASP.

The structure in Quantum ESPRESSO input format:
```
&SYSTEM
  ibrav = 0, nat = 22, ntyp = 2
/
ATOMIC_SPECIES
Mg 24.30 Mg.upf
Si 28.09 Si.upf
ATOMIC_POSITIONS crystal
Mg 0.000 0.000 0.000
Mg 0.004 0.000 0.662
Mg 0.069 0.000 0.219
Mg 0.268 0.500 0.501
Mg 0.410 0.000 0.839
Mg 0.471 0.000 0.084
Mg 0.626 0.500 0.385
Mg 0.658 0.500 0.699
Mg 0.673 0.500 0.950
Mg 0.966 0.000 0.406
Si 0.030 0.500 0.842
Si 0.177 0.500 0.108
Si 0.272 0.500 0.721
Si 0.285 0.500 0.958
Si 0.324 0.000 0.350
Si 0.387 0.000 0.628
Si 0.397 0.500 0.242
Si 0.659 0.000 0.530
Si 0.696 0.000 0.233
Si 0.808 0.500 0.130
Si 0.810 0.000 0.826
Si 0.878 0.500 0.537
CELL_PARAMETERS angstrom
7.205 0.000 0.000
0.000 3.753 0.000
-0.004 0.000 14.999
```

The space group is No. 6. Its calculated formation energy is 0.14 eV per atom. The value obtained for the excess energy over the best structure of this formula in the dataset is 77.4 meV/atom. Its MP2020-corrected energy is -3.54 eV per atom.